Record 1
{"formula": "Mo4H8N2O13", "functional": "PBE with a Hubbard U", "state": "optimized geometry", "total_magnetization_mub_per_fu": 0.0, "delta_e_f_mev_per_atom": -1418, "volume_a3_per_cell": 624.3, "space_group": "No. 2", "energy_ry_per_atom": -0.45754, "cell": [[8.426, 0.000, 0.000], [-2.893, 7.978, 0.000], [-2.871, -3.752, 9.287]], "species": ["Mo", "Mo", "Mo", "Mo", "Mo", "Mo", "Mo", "Mo", "H", "H", "H", "H", "H", "H", "H", "H", "H", "H", "H", "H", "H", "H", "H", "H", "N", "N", "N", "N", "O", "O", "O", "O", "O", "O", "O", "O", "O", "O", "O", "O", "O", "O", "O", "O", "O", "O", "O", "O", "O", "O", "O", "O", "O", "O"], "frac_coords": [[0.061, 0.381, 0.272], [0.078, 0.995, 0.293], [0.226, 0.651, 0.054], [0.227, 0.039, 0.039], [0.773, 0.961, 0.961], [0.774, 0.349, 0.946], [0.922, 0.005, 0.707], [0.939, 0.619, 0.728], [0.186, 0.780, 0.571], [0.244, 0.378, 0.665], [0.318, 0.948, 0.534], [0.350, 0.758, 0.514], [0.410, 0.905, 0.680], [0.412, 0.588, 0.713], [0.441, 0.459, 0.805], [0.442, 0.404, 0.638], [0.558, 0.596, 0.362], [0.559, 0.541, 0.195], [0.588, 0.412, 0.287], [0.590, 0.095, 0.320], [0.650, 0.242, 0.486], [0.682, 0.052, 0.466], [0.756, 0.622, 0.335], [0.814, 0.220, 0.429], [0.316, 0.847, 0.574], [0.385, 0.456, 0.703], [0.615, 0.544, 0.297], [0.684, 0.153, 0.426], [0.003, 0.813, 0.659], [0.030, 0.160, 0.642], [0.049, 0.510, 0.651], [0.071, 0.480, 0.116], [0.102, 0.149, 0.133], [0.123, 0.859, 0.142], [0.213, 0.121, 0.898], [0.219, 0.805, 0.934], [0.294, 0.512, 0.384], [0.295, 0.515, 0.952], [0.304, 0.114, 0.424], [0.422, 0.779, 0.211], [0.454, 0.160, 0.163], [0.546, 0.840, 0.837], [0.578, 0.221, 0.789], [0.696, 0.886, 0.576], [0.705, 0.485, 0.048], [0.706, 0.488, 0.616], [0.781, 0.195, 0.066], [0.787, 0.879, 0.102], [0.877, 0.141, 0.858], [0.898, 0.851, 0.867], [0.929, 0.520, 0.884], [0.951, 0.490, 0.349], [0.970, 0.840, 0.358], [0.997, 0.187, 0.341]]}

***

Record 2
{"formula": "MoH12PdN4O4", "functional": "PBE with a Hubbard U", "state": "optimized geometry", "total_magnetization_mub_per_fu": 0.0, "delta_e_f_mev_per_atom": -784, "volume_a3_per_cell": 450.6, "space_group": "No. 141", "energy_ry_per_atom": -0.40482, "cell": [[-3.777, 3.777, 7.898], [3.777, -3.777, 7.898], [3.777, 3.777, -7.898]], "species": ["Mo", "Mo", "H", "H", "H", "H", "H", "H", "H", "H", "H", "H", "H", "H", "H", "H", "H", "H", "H", "H", "H", "H", "H", "H", "H", "H", "Pd", "Pd", "N", "N", "N", "N", "N", "N", "N", "N", "O", "O", "O", "O", "O", "O", "O", "O"], "frac_coords": [[0.375, 0.625, 0.750], [0.625, 0.375, 0.250], [0.009, 0.481, 0.191], [0.009, 0.818, 0.528], [0.182, 0.211, 0.191], [0.182, 0.991, 0.972], [0.193, 0.247, 0.554], [0.193, 0.638, 0.946], [0.211, 0.182, 0.691], [0.211, 0.519, 0.028], [0.247, 0.193, 0.054], [0.362, 0.807, 0.554], [0.481, 0.009, 0.691], [0.481, 0.789, 0.472], [0.519, 0.211, 0.528], [0.519, 0.991, 0.309], [0.638, 0.193, 0.446], [0.753, 0.807, 0.946], [0.789, 0.481, 0.972], [0.789, 0.818, 0.309], [0.807, 0.362, 0.054], [0.807, 0.753, 0.446], [0.818, 0.009, 0.028], [0.818, 0.789, 0.809], [0.991, 0.182, 0.472], [0.991, 0.519, 0.809], [0.125, 0.875, 0.250], [0.875, 0.125, 0.750], [0.128, 0.152, 0.524], [0.128, 0.605, 0.976], [0.152, 0.128, 0.024], [0.395, 0.872, 0.524], [0.605, 0.128, 0.476], [0.848, 0.872, 0.976], [0.872, 0.395, 0.024], [0.872, 0.848, 0.476], [0.242, 0.689, 0.553], [0.311, 0.364, 0.553], [0.311, 0.758, 0.947], [0.364, 0.311, 0.053], [0.636, 0.689, 0.947], [0.689, 0.242, 0.053], [0.689, 0.636, 0.447], [0.758, 0.311, 0.447]]}

***

Record 3
{"formula": "NaNi2Mo2H3O10", "functional": "PBE with a Hubbard U", "state": "optimized geometry", "total_magnetization_mub_per_fu": 4.0, "delta_e_f_mev_per_atom": -1706, "volume_a3_per_cell": 207.2, "space_group": "No. 5", "energy_ry_per_atom": -0.43518, "cell": [[4.698, -3.190, 0.000], [4.698, 3.190, 0.000], [-3.368, 0.000, 6.913]], "species": ["Na", "Ni", "Ni", "Mo", "Mo", "H", "H", "H", "O", "O", "O", "O", "O", "O", "O", "O", "O", "O"], "frac_coords": [[0.000, 0.000, 0.000], [0.498, 0.002, 0.500], [0.998, 0.502, 0.500], [0.420, 0.422, 0.217], [0.578, 0.580, 0.783], [0.179, 0.182, 0.720], [0.818, 0.821, 0.280], [0.998, 0.002, 0.500], [0.143, 0.148, 0.579], [0.230, 0.688, 0.756], [0.264, 0.262, 0.983], [0.312, 0.770, 0.244], [0.330, 0.332, 0.388], [0.668, 0.670, 0.612], [0.686, 0.231, 0.756], [0.738, 0.736, 0.017], [0.769, 0.314, 0.244], [0.852, 0.857, 0.421]]}